Here is Mn2ZnO4 after structural relaxation from the Materials Project database. Energies are from GGA+U.

It has space group Fddd (No. 70, origin choice 2), with a = 8.199 Å, b = 8.216 Å, c = 9.397 Å, α = 90.00°, β = 90.00° and γ = 90.00°. The distinct sites, in fractional coordinates, are Mn at (0.000, 0.000, 0.000), Zn at (0.125, 0.125, 0.625) and O at (0.011, 0.011, 0.244).

As for the total energy after the MP2020 corrections: -7.607 eV/atom. The value obtained for the formation energy is -1982 meV/atom. The value obtained for the distance to the lowest polymorph of the same formula is 0.000 eV/f.u. The crystal system is orthorhombic.